[1]
Compound: Ca3BiP
Source: the Materials Project
Functional: PBE
Structure: optimized geometry

Its formation enthalpy at 0 K is -465 kJ/mol of formula units.

The space group is Pm-3m (No. 221) and the conventional cell measures 5.426, 5.426 and 5.426 Å, with angles of 90.00, 90.00 and 90.00 degrees. Symmetry generates all atoms from Ca at (0.000, 0.000, 0.500), Bi at (0.500, 0.500, 0.500) and P at (0.000, 0.000, 0.000).

---

[2]
Compound: Ca3BiP
Source: the Materials Project
Functional: PBE
Structure: optimized geometry

Its formation enthalpy at 0 K is -60 kJ/mol of formula units.

The space group is Pm-3m (No. 221) and the conventional cell measures 5.820, 5.820 and 5.820 Å, with angles of 90.00, 90.00 and 90.00 degrees. Symmetry generates all atoms from Ca at (0.000, 0.000, 0.500), Bi at (0.000, 0.000, 0.000) and P at (0.500, 0.500, 0.500).

---

[3]
Compound: Ca3Bi8Pd4
Source: the Materials Project
Functional: PBE
Structure: optimized geometry

Its formation enthalpy at 0 K is -758 kJ/mol of formula units.

The space group is Pbam (No. 55) and the conventional cell measures 10.970, 17.227 and 4.239 Å, with angles of 90.00, 90.00 and 90.00 degrees. Symmetry generates all atoms from Ca at (0.000, 0.000, 0.000), Ca at (0.142, 0.301, 0.000), Bi at (0.107, 0.143, 0.500), Bi at (0.110, 0.714, 0.500), Bi at (0.130, 0.539, 0.000), Bi at (0.195, 0.914, 0.500), Pd at (0.046, 0.422, 0.500) and Pd at (0.070, 0.825, 0.000).

---

[4]
Compound: CaBiPd
Source: the Materials Project
Functional: PBE
Structure: optimized geometry

Its formation enthalpy at 0 K is -218 kJ/mol of formula units.

The space group is Pnma (No. 62) and the conventional cell measures 7.534, 4.832 and 8.173 Å, with angles of 90.00, 90.00 and 90.00 degrees. Symmetry generates all atoms from Ca at (0.006, 0.250, 0.206), Bi at (0.198, 0.250, 0.593) and Pd at (0.194, 0.750, 0.423).

---

[5]
Compound: Ca3BiSb
Source: the Materials Project
Functional: PBE
Structure: optimized geometry

Its formation enthalpy at 0 K is -236 kJ/mol of formula units.

The space group is Pm-3m (No. 221) and the conventional cell measures 5.860, 5.860 and 5.860 Å, with angles of 90.00, 90.00 and 90.00 degrees. Symmetry generates all atoms from Ca at (0.000, 0.000, 0.500), Bi at (0.000, 0.000, 0.000) and Sb at (0.500, 0.500, 0.500).

---

[6]
Compound: Ca3BiSb
Source: the Materials Project
Functional: PBE
Structure: optimized geometry

Its formation enthalpy at 0 K is -312 kJ/mol of formula units.

The space group is Pm-3m (No. 221) and the conventional cell measures 5.810, 5.810 and 5.810 Å, with angles of 90.00, 90.00 and 90.00 degrees. Symmetry generates all atoms from Ca at (0.000, 0.000, 0.500), Bi at (0.500, 0.500, 0.500) and Sb at (0.000, 0.000, 0.000).